[1]
An optimized crystal structure of Na2La8SiS11O48, computed with GGA-PBE.

Results
ΔE_f in meV/atom: -2685
Crystal system: triclinic
Size of the total moment in μB/cell: 0.00
Volume in Å³/atom: 19.3

abc: 19.2756 9.6336 25.2258
angles: 89.99 90.01 120.04
Atoms (fractional coordinates):
O 0.0075 0.8281 0.4135
O 0.8434 0.5391 0.2444
O 0.9026 0.7790 0.2978
O 0.8924 0.8000 0.2020
O 0.2334 0.1240 0.6307
O 0.9889 0.1803 0.5868
O 0.7394 0.1285 0.9219
O 0.4072 0.0199 0.0893
O 0.4405 0.3561 0.6307
O 0.7615 0.8808 0.0763
O 0.0047 0.2081 0.2021
O 0.4871 0.1908 0.2985
O 0.7252 0.1417 0.5351
O 0.7393 0.3557 0.4199
O 0.9306 0.3063 0.5348
O 0.3461 0.5411 0.2463
O 0.0959 0.9765 0.9120
O 0.6559 0.4512 0.7548
O 0.3953 0.9897 0.7017
O 0.1068 0.1910 0.0914
O 0.4301 0.5553 0.0360
O 0.0616 0.6493 0.3631
O 0.5996 0.9841 0.2030
O 0.7281 0.3064 0.7446
O 0.1044 0.0263 0.5857
O 0.9155 0.5183 0.7479
O 0.1794 0.8841 0.8693
O 0.4055 0.7845 0.2987
O 0.2623 0.6428 0.5755
O 0.1787 0.4778 0.0760
O 0.0709 0.6825 0.4693
O 0.2255 0.3093 0.0358
O 0.5111 0.8066 0.4089
O 0.6036 0.1830 0.0888
O 0.0574 0.4736 0.8691
O 0.6075 0.0250 0.2987
O 0.3960 0.8119 0.9140
O 0.2267 0.1418 0.5349
O 0.6583 0.4534 0.4637
O 0.7639 0.6412 0.8688
O 0.4403 0.5338 0.1316
O 0.3947 0.9834 0.4086
O 0.2739 0.6832 0.9652
O 0.1112 0.0287 0.2975
O 0.5591 0.6420 0.3679
O 0.8943 0.9792 0.4123
O 0.4271 0.3494 0.9194
O 0.3454 0.1504 0.7442
O 0.2409 0.3513 0.4205
O 0.5699 0.4524 0.2578
O 0.2753 0.8610 0.7550
O 0.9855 0.7918 0.8034
O 0.2766 0.8701 0.4638
O 0.4253 0.3101 0.2460
O 0.5632 0.4755 0.8639
O 0.0056 0.8051 0.6977
O 0.2375 0.3577 0.1310
O 0.8446 0.5525 0.5344
O 0.4374 0.5170 0.4198
O 0.4885 0.7944 0.0897
O 0.9259 0.5026 0.4191
O 0.9418 0.3453 0.6304
O 0.6776 0.4759 0.3680
O 0.5079 0.1859 0.9144
O 0.8932 0.8068 0.9118
O 0.4294 0.3093 0.5355
O 0.1606 0.8651 0.9651
O 0.1781 0.4670 0.3683
O 0.7650 0.8785 0.3681
O 0.0951 0.2089 0.4124
O 0.7730 0.6868 0.2564
O 0.9067 0.7961 0.5856
O 0.5699 0.4570 0.9704
O 0.5938 0.9804 0.9130
O 0.0760 0.6838 0.7586
O 0.8219 0.1190 0.1312
O 0.5701 0.6909 0.7551
O 0.0104 0.2133 0.9110
O 0.3937 0.8003 0.2030
O 0.1601 0.4553 0.7571
O 0.5075 0.2154 0.2028
O 0.3468 0.1387 0.0358
O 0.3255 0.1167 0.1314
O 0.5667 0.6803 0.4638
O 0.3222 0.5250 0.6307
O 0.2315 0.3101 0.7458
O 0.3234 0.1298 0.4204
O 0.8417 0.1458 0.7466
O 0.0702 0.4491 0.2549
O 0.1578 0.8630 0.2548
O 0.6770 0.8881 0.8689
O 0.2404 0.1249 0.9219
O 0.6062 0.0229 0.5903
O 0.4877 0.1888 0.5906
O 0.7334 0.3438 0.1316
O 0.2310 0.1523 0.2443
O 0.8453 0.1432 0.0361
O 0.3460 0.5488 0.5356
O 0.5594 0.4761 0.5759
O 0.8196 0.1211 0.4198
O 0.4251 0.5409 0.7452
O 0.9252 0.3091 0.2451
O 0.6777 0.8799 0.5749
O 0.8902 0.9848 0.7029
O 0.2670 0.6525 0.8688
O 0.1793 0.8845 0.5778
O 0.0601 0.6434 0.0761
O 0.7737 0.6787 0.9649
O 0.5048 0.8006 0.7022
O 0.2745 0.6881 0.2578
O 0.9054 0.0253 0.0910
O 0.0606 0.4701 0.5764
O 0.9292 0.5495 0.0360
O 0.5983 0.2102 0.7018
O 0.7244 0.3071 0.0358
O 0.3215 0.5206 0.9214
O 0.1026 0.2188 0.7024
O 0.6595 0.8702 0.9653
O 0.9412 0.5257 0.1311
O 0.4040 0.0285 0.7976
O 0.7728 0.8634 0.4643
O 0.4060 0.7866 0.5906
O 0.5947 0.2156 0.4087
O 0.1003 0.9892 0.2017
O 0.5602 0.6491 0.0782
O 0.2644 0.8875 0.3678
O 0.7370 0.1171 0.6305
O 0.6084 0.1922 0.7976
O 0.7290 0.1483 0.2462
O 0.9031 0.0267 0.7987
O 0.9884 0.7869 0.0912
O 0.7722 0.8568 0.7586
O 0.6782 0.4736 0.0786
O 0.9868 0.1910 0.2982
O 0.6555 0.8594 0.2582
O 0.8248 0.5370 0.6300
O 0.9370 0.3559 0.9223
O 0.2627 0.8779 0.0768
O 0.1612 0.4504 0.4647
O 0.8221 0.5165 0.9219
O 0.0668 0.4534 0.9650
O 0.1107 0.1946 0.7984
O 0.4869 0.7824 0.7983
O 0.7621 0.6472 0.5750
S 0.3134 0.9647 0.4156
S 0.9801 0.6267 0.0833
S 0.1489 0.0056 0.2494
S 0.4978 0.2919 0.2513
S 0.9977 0.2891 0.2504
S 0.6854 0.3292 0.0834
S 0.5193 0.6621 0.4155
S 0.6476 0.0039 0.2515
S 0.8534 0.7031 0.2498
S 0.3332 0.6270 0.5833
S 0.1680 0.9613 0.9166
S 0.6477 0.2910 0.7496
S 0.1873 0.3342 0.0825
S 0.0189 0.3726 0.9163
S 0.1497 0.2939 0.7511
S 0.8515 0.0014 0.7518
S 0.1682 0.3714 0.4166
S 0.3546 0.0049 0.7494
S 0.8324 0.0392 0.0831
S 0.3537 0.7041 0.2515
S 0.6670 0.9638 0.9169
S 0.1852 0.0423 0.5829
S 0.3345 0.0378 0.0831
S 0.8349 0.6326 0.5820
S 0.4804 0.6318 0.0833
S 0.4793 0.3320 0.5836
S 0.6678 0.3758 0.4158
S 0.8129 0.9605 0.4164
S 0.3138 0.6671 0.9165
S 0.4978 0.7056 0.7506
S 0.9807 0.3252 0.5826
S 0.6875 0.0430 0.5831
S 0.8131 0.6630 0.9165
Na 0.3410 0.3353 0.8371
Na 0.8420 0.3520 0.8262
Na 0.8449 0.3514 0.3401
Na 0.3306 0.3301 0.3347
Na 0.0014 0.9870 0.5002
Na 0.5014 0.0179 0.9917
La 0.6612 0.6525 0.0165
La 0.3333 0.3342 0.4836
La 0.6680 0.6672 0.3121
La 0.1598 0.6685 0.5190
La 0.8398 0.3436 0.4810
La 0.5003 0.0124 0.8534
La 0.9985 0.9869 0.8519
La 0.3325 0.3347 0.1827
La 0.4992 0.9991 0.3563
La 0.8342 0.3339 0.9803
La 0.6667 0.6687 0.5231
La 0.8344 0.3317 0.1839
La 0.6601 0.6540 0.8144
La 0.4997 0.9990 0.1490
La 0.0013 0.9886 0.3547
La 0.5012 0.9991 0.6459
La 0.3396 0.3347 0.9779
La 0.8407 0.3454 0.6867
La 0.9994 0.9889 0.6545
La 0.1608 0.6682 0.8080
La 0.1657 0.6649 0.0186
La 0.1579 0.6631 0.3154
La 0.9999 0.0021 0.1445
La 0.3322 0.3345 0.6854
Si 0.0166 0.6650 0.4167
Si 0.9960 0.7001 0.7517
Si 0.5177 0.3677 0.9166



[2]
An optimized crystal structure of Y2TlAg, computed with GGA-PBE.

Results
ΔE_f in meV/atom: -377
Crystal system: cubic
Volume in Å³/atom: 26.1

abc: 5.2822 5.2822 5.2822
angles: 60.00 60.00 60.00
Atoms (fractional coordinates):
Y 0.7500 0.7500 0.7500
Y 0.2500 0.2500 0.2500
Tl 0.0000 0.0000 0.0000
Ag 0.5000 0.5000 0.5000



[3]
An optimized crystal structure of Ca2Al3O8, computed with GGA-PBE.

Results
ΔE_f in meV/atom: -2664
Crystal system: orthorhombic
Size of the total moment in μB/cell: 8.00
Volume in Å³/atom: 13.8
Energy above the most stable polymorph in this dataset in meV/atom: 294

abc: 7.9601 7.9601 12.2412
angles: 90.00 90.00 112.69
Atoms (fractional coordinates):
Al 0.0270 0.2655 0.6212
Al 0.7655 0.5270 0.8788
Al 0.3581 0.8581 0.2500
Al 0.1419 0.6419 0.7500
Al 0.7345 0.9730 0.3788
Al 0.6419 0.1419 0.7500
Al 0.5270 0.7655 0.8788
Al 0.4730 0.2345 0.1212
Al 0.2345 0.4730 0.1212
Al 0.8581 0.3581 0.2500
Al 0.9730 0.7345 0.3788
Al 0.2655 0.0270 0.6212
Ca 0.1742 0.8258 0.0000
Ca 0.3047 0.3047 0.8464
Ca 0.8258 0.1742 0.0000
Ca 0.3258 0.6742 0.5000
Ca 0.1953 0.1953 0.3464
Ca 0.8047 0.8047 0.6536
Ca 0.6953 0.6953 0.1536
Ca 0.6742 0.3258 0.5000
O 0.1437 0.3914 0.9882
O 0.2761 0.7068 0.1373
O 0.7068 0.2761 0.1373
O 0.0304 0.0304 0.9501
O 0.3914 0.1437 0.9882
O 0.9696 0.9696 0.0499
O 0.6086 0.8563 0.0118
O 0.9360 0.9360 0.3523
O 0.7239 0.2932 0.8627
O 0.3563 0.1086 0.4882
O 0.2239 0.7932 0.6373
O 0.9306 0.6542 0.7829
O 0.2068 0.7761 0.3627
O 0.6542 0.9306 0.7829
O 0.8458 0.5694 0.2829
O 0.5640 0.5640 0.8523
O 0.0640 0.0640 0.6477
O 0.8914 0.6437 0.5118
O 0.5694 0.8458 0.2829
O 0.4306 0.1542 0.7171
O 0.1542 0.4306 0.7171
O 0.1086 0.3563 0.4882
O 0.0694 0.3458 0.2171
O 0.7932 0.2239 0.6373
O 0.4696 0.4696 0.4501
O 0.5304 0.5304 0.5499
O 0.8563 0.6086 0.0118
O 0.4360 0.4360 0.1477
O 0.2932 0.7239 0.8627
O 0.3458 0.0694 0.2171
O 0.7761 0.2068 0.3627
O 0.6437 0.8914 0.5118



[4]
An optimized crystal structure of Sm3Np, computed with GGA-PBE.

Results
ΔE_f in meV/atom: 370
Crystal system: cubic
Size of the total moment in μB/cell: 4.88
Volume in Å³/atom: 31.9
Energy above the most stable polymorph in this dataset in meV/atom: 0

abc: 5.0354 5.0354 5.0354
angles: 90.00 90.00 90.00
Atoms (fractional coordinates):
Sm 0.5000 0.0000 0.5000
Sm 0.0000 0.5000 0.5000
Sm 0.5000 0.5000 0.0000
Np 0.0000 0.0000 0.0000



[5]
An optimized crystal structure of K11In6Bi9, computed with GGA-PBE.

Results
ΔE_f in meV/atom: -331
Crystal system: triclinic
Volume in Å³/atom: 38.6

abc: 12.2865 13.5666 13.9557
angles: 76.85 63.95 76.24
Atoms (fractional coordinates):
K 0.4508 0.2545 0.7094
K 0.5939 0.9786 0.5910
K 0.7966 0.5440 0.8065
K 0.3901 0.0098 0.9276
K 0.6240 0.4532 0.1906
K 0.4061 0.0214 0.4090
K 0.9409 0.2848 0.2209
K 0.0608 0.9886 0.6185
K 0.5898 0.2811 0.9294
K 0.6099 0.9902 0.0724
K 0.9577 0.2563 0.7141
K 0.2994 0.3084 0.4861
K 0.0423 0.7437 0.2859
K 0.5492 0.7455 0.2906
K 0.0000 0.0000 0.0000
K 0.4102 0.7189 0.0706
K 0.0000 0.5000 0.0000
K 0.3760 0.5468 0.8094
K 0.2034 0.4560 0.1935
K 0.9392 0.0114 0.3815
K 0.0591 0.7152 0.7791
K 0.7006 0.6916 0.5139
In 0.1221 0.2427 0.8882
In 0.7073 0.1447 0.2049
In 0.6282 0.4474 0.4600
In 0.7361 0.8472 0.7931
In 0.2639 0.1528 0.2069
In 0.9338 0.4494 0.4622
In 0.2086 0.7856 0.4526
In 0.7914 0.2144 0.5474
In 0.8779 0.7573 0.1118
In 0.0662 0.5506 0.5378
In 0.3718 0.5526 0.5400
In 0.2927 0.8553 0.7951
Bi 0.8433 0.5507 0.2791
Bi 0.2419 0.0820 0.7271
Bi 0.2735 0.9275 0.2378
Bi 0.1546 0.7216 0.0007
Bi 0.2663 0.2837 0.9977
Bi 0.6931 0.4104 0.6547
Bi 0.9333 0.7709 0.5750
Bi 0.3069 0.5896 0.3453
Bi 0.7581 0.9180 0.2729
Bi 0.4564 0.2526 0.2141
Bi 0.6350 0.2295 0.4199
Bi 0.0667 0.2291 0.4250
Bi 0.3650 0.7705 0.5801
Bi 0.7337 0.7163 0.0023
Bi 0.8454 0.2784 0.9993
Bi 0.5436 0.7474 0.7859
Bi 0.7265 0.0725 0.7622
Bi 0.1567 0.4493 0.7209



Number 3 is which compound? Ca2Al3O8



Look up the volume of the fifth one. 38.6 Å³/atom



Repeat the fifth record exactly.
An optimized crystal structure of K11In6Bi9, computed with GGA-PBE.

Results
ΔE_f in meV/atom: -331
Crystal system: triclinic
Volume in Å³/atom: 38.6

abc: 12.2865 13.5666 13.9557
angles: 76.85 63.95 76.24
Atoms (fractional coordinates):
K 0.4508 0.2545 0.7094
K 0.5939 0.9786 0.5910
K 0.7966 0.5440 0.8065
K 0.3901 0.0098 0.9276
K 0.6240 0.4532 0.1906
K 0.4061 0.0214 0.4090
K 0.9409 0.2848 0.2209
K 0.0608 0.9886 0.6185
K 0.5898 0.2811 0.9294
K 0.6099 0.9902 0.0724
K 0.9577 0.2563 0.7141
K 0.2994 0.3084 0.4861
K 0.0423 0.7437 0.2859
K 0.5492 0.7455 0.2906
K 0.0000 0.0000 0.0000
K 0.4102 0.7189 0.0706
K 0.0000 0.5000 0.0000
K 0.3760 0.5468 0.8094
K 0.2034 0.4560 0.1935
K 0.9392 0.0114 0.3815
K 0.0591 0.7152 0.7791
K 0.7006 0.6916 0.5139
In 0.1221 0.2427 0.8882
In 0.7073 0.1447 0.2049
In 0.6282 0.4474 0.4600
In 0.7361 0.8472 0.7931
In 0.2639 0.1528 0.2069
In 0.9338 0.4494 0.4622
In 0.2086 0.7856 0.4526
In 0.7914 0.2144 0.5474
In 0.8779 0.7573 0.1118
In 0.0662 0.5506 0.5378
In 0.3718 0.5526 0.5400
In 0.2927 0.8553 0.7951
Bi 0.8433 0.5507 0.2791
Bi 0.2419 0.0820 0.7271
Bi 0.2735 0.9275 0.2378
Bi 0.1546 0.7216 0.0007
Bi 0.2663 0.2837 0.9977
Bi 0.6931 0.4104 0.6547
Bi 0.9333 0.7709 0.5750
Bi 0.3069 0.5896 0.3453
Bi 0.7581 0.9180 0.2729
Bi 0.4564 0.2526 0.2141
Bi 0.6350 0.2295 0.4199
Bi 0.0667 0.2291 0.4250
Bi 0.3650 0.7705 0.5801
Bi 0.7337 0.7163 0.0023
Bi 0.8454 0.2784 0.9993
Bi 0.5436 0.7474 0.7859
Bi 0.7265 0.0725 0.7622
Bi 0.1567 0.4493 0.7209



ΔE_f of number 4 (Sm3Np)? 370 meV/atom